The following is a GGA+U calculation of a relaxed structure of Li3V3P8O29, from the Materials Project.

Lattice parameters (Å, degrees): 9.734 9.740 14.128 89.81 89.92 60.18
Space group P1 (No. 1)
Unique sites:
Li: 0.000 0.000 0.000 [1 per cell]
Li: 0.001 0.573 0.510 [1 per cell]
Li: 0.090 0.817 0.393 [1 per cell]
Li: 0.710 0.946 0.453 [1 per cell]
Li: 0.727 0.931 0.939 [1 per cell]
Li: 0.860 0.578 0.004 [1 per cell]
V: 0.207 0.469 0.703 [1 per cell]
V: 0.207 0.907 0.197 [1 per cell]
V: 0.334 0.908 0.696 [1 per cell]
V: 0.335 0.338 0.194 [1 per cell]
V: 0.765 0.470 0.204 [1 per cell]
V: 0.767 0.339 0.695 [1 per cell]
P: 0.077 0.683 0.107 [1 per cell]
P: 0.081 0.816 0.606 [1 per cell]
P: 0.097 0.243 0.079 [1 per cell]
P: 0.100 0.242 0.578 [1 per cell]
P: 0.429 0.573 0.316 [1 per cell]
P: 0.437 0.574 0.817 [1 per cell]
P: 0.462 0.126 0.790 [1 per cell]
P: 0.462 0.992 0.290 [1 per cell]
P: 0.542 0.216 0.605 [1 per cell]
P: 0.548 0.820 0.105 [1 per cell]
P: 0.681 0.685 0.607 [1 per cell]
P: 0.684 0.215 0.107 [1 per cell]
P: 0.853 0.127 0.293 [1 per cell]
P: 0.854 0.593 0.790 [1 per cell]
P: 0.991 0.994 0.787 [1 per cell]
P: 0.997 0.590 0.290 [1 per cell]
O: 0.027 0.560 0.779 [1 per cell]
O: 0.028 0.988 0.284 [1 per cell]
O: 0.091 0.242 0.974 [1 per cell]
O: 0.094 0.246 0.473 [1 per cell]
O: 0.096 0.092 0.121 [1 per cell]
O: 0.099 0.392 0.620 [1 per cell]
O: 0.109 0.825 0.108 [1 per cell]
O: 0.110 0.644 0.612 [1 per cell]
O: 0.148 0.994 0.773 [1 per cell]
O: 0.151 0.432 0.272 [1 per cell]
O: 0.235 0.525 0.120 [1 per cell]
O: 0.238 0.817 0.621 [1 per cell]
O: 0.245 0.092 0.623 [1 per cell]
O: 0.246 0.240 0.122 [1 per cell]
O: 0.279 0.724 0.272 [1 per cell]
O: 0.288 0.571 0.771 [1 per cell]
O: 0.301 0.992 0.273 [1 per cell]
O: 0.303 0.286 0.777 [1 per cell]
O: 0.383 0.372 0.621 [1 per cell]
O: 0.387 0.821 0.122 [1 per cell]
O: 0.420 0.580 0.421 [1 per cell]
O: 0.422 0.991 0.780 [1 per cell]
O: 0.423 0.166 0.278 [1 per cell]
O: 0.431 0.427 0.269 [1 per cell]
O: 0.431 0.724 0.770 [1 per cell]
O: 0.432 0.576 0.921 [1 per cell]
O: 0.508 0.823 0.612 [1 per cell]
O: 0.510 0.250 0.112 [1 per cell]
O: 0.549 0.914 0.377 [1 per cell]
O: 0.553 0.113 0.876 [1 per cell]
O: 0.553 0.126 0.519 [1 per cell]
O: 0.558 0.899 0.018 [1 per cell]
O: 0.565 0.109 0.698 [1 per cell]
O: 0.566 0.903 0.198 [1 per cell]
O: 0.579 0.574 0.272 [1 per cell]
O: 0.583 0.429 0.770 [1 per cell]
O: 0.679 0.254 0.614 [1 per cell]
O: 0.683 0.374 0.123 [1 per cell]
O: 0.683 0.526 0.618 [1 per cell]
O: 0.685 0.644 0.113 [1 per cell]
O: 0.759 0.708 0.704 [1 per cell]
O: 0.768 0.110 0.199 [1 per cell]
O: 0.771 0.122 0.022 [1 per cell]
O: 0.772 0.697 0.525 [1 per cell]
O: 0.775 0.114 0.379 [1 per cell]
O: 0.785 0.675 0.882 [1 per cell]
O: 0.850 0.166 0.778 [1 per cell]
O: 0.853 0.287 0.276 [1 per cell]
O: 0.853 0.563 0.282 [1 per cell]
O: 0.854 0.436 0.775 [1 per cell]
O: 0.950 0.393 0.122 [1 per cell]
O: 0.951 0.243 0.624 [1 per cell]
O: 0.972 0.903 0.697 [1 per cell]
O: 0.977 0.707 0.204 [1 per cell]
O: 0.978 0.689 0.025 [1 per cell]
O: 0.981 0.920 0.878 [1 per cell]
O: 0.997 0.892 0.516 [1 per cell]
O: 0.999 0.669 0.380 [1 per cell]

For the formation energy, the calculation gives -2.523 eV per atom.

***

The following is a GGA+U calculation of a relaxed structure of CoTe6O13, from the Materials Project.

Lattice parameters (Å, degrees): 10.3134 10.3134 19.3476 90.00 90.00 120.00
Space group R-3 (No. 148, hexagonal axes)
Unique sites:
Co: 0.0000 0.0000 0.2432 [6 per cell]
Te: 0.0616 0.2319 0.9083 [18 per cell]
Te: 0.0835 0.2379 0.4045 [18 per cell]
O: 0.0000 0.0000 0.4135 [6 per cell]
O: 0.0014 0.2532 0.5517 [18 per cell]
O: 0.0516 0.1930 0.8121 [18 per cell]
O: 0.0545 0.1845 0.0693 [18 per cell]
O: 0.0898 0.8862 0.3069 [18 per cell]

For the formation energy, the calculation gives -1.475 eV per atom.

***

The following is a GGA+U calculation of a relaxed structure of Mg5Al4FeSi6O24, from the Materials Project.

Lattice parameters (Å, degrees): 7.289 8.917 13.798 77.01 81.23 66.77
Space group P1 (No. 1)
Unique sites:
Mg: 0.000 0.000 0.000 [1 per cell]
Mg: 0.000 0.488 0.505 [1 per cell]
Mg: 0.222 0.103 0.396 [1 per cell]
Mg: 0.424 0.527 0.537 [1 per cell]
Mg: 0.456 0.986 0.035 [1 per cell]
Mg: 0.683 0.407 0.165 [1 per cell]
Mg: 0.692 0.887 0.662 [1 per cell]
Mg: 0.753 0.610 0.887 [1 per cell]
Mg: 0.968 0.733 0.274 [1 per cell]
Mg: 0.977 0.223 0.765 [1 per cell]
Al: 0.096 0.535 0.731 [1 per cell]
Al: 0.104 0.042 0.224 [1 per cell]
Al: 0.304 0.438 0.329 [1 per cell]
Al: 0.313 0.928 0.824 [1 per cell]
Al: 0.618 0.796 0.453 [1 per cell]
Al: 0.622 0.288 0.957 [1 per cell]
Al: 0.843 0.183 0.568 [1 per cell]
Al: 0.930 0.686 0.065 [1 per cell]
Fe: 0.249 0.590 0.879 [1 per cell]
Fe: 0.750 0.116 0.374 [1 per cell]
Si: 0.055 0.829 0.463 [1 per cell]
Si: 0.062 0.323 0.969 [1 per cell]
Si: 0.206 0.851 0.661 [1 per cell]
Si: 0.212 0.338 0.173 [1 per cell]
Si: 0.400 0.666 0.024 [1 per cell]
Si: 0.418 0.173 0.525 [1 per cell]
Si: 0.422 0.736 0.274 [1 per cell]
Si: 0.424 0.232 0.777 [1 per cell]
Si: 0.705 0.527 0.673 [1 per cell]
Si: 0.713 0.022 0.170 [1 per cell]
Si: 0.828 0.444 0.352 [1 per cell]
Si: 0.833 0.937 0.850 [1 per cell]
O: 0.003 0.021 0.667 [1 per cell]
O: 0.007 0.548 0.970 [1 per cell]
O: 0.020 0.518 0.175 [1 per cell]
O: 0.024 0.403 0.838 [1 per cell]
O: 0.034 0.908 0.334 [1 per cell]
O: 0.087 0.380 0.368 [1 per cell]
O: 0.090 0.882 0.857 [1 per cell]
O: 0.157 0.752 0.052 [1 per cell]
O: 0.179 0.615 0.459 [1 per cell]
O: 0.187 0.260 0.564 [1 per cell]
O: 0.189 0.112 0.964 [1 per cell]
O: 0.191 0.279 0.073 [1 per cell]
O: 0.208 0.790 0.557 [1 per cell]
O: 0.211 0.675 0.734 [1 per cell]
O: 0.223 0.164 0.251 [1 per cell]
O: 0.265 0.644 0.270 [1 per cell]
O: 0.269 0.138 0.775 [1 per cell]
O: 0.347 0.394 0.685 [1 per cell]
O: 0.347 0.896 0.179 [1 per cell]
O: 0.397 0.875 0.699 [1 per cell]
O: 0.405 0.365 0.208 [1 per cell]
O: 0.418 0.812 0.375 [1 per cell]
O: 0.420 0.309 0.877 [1 per cell]
O: 0.438 0.490 0.989 [1 per cell]
O: 0.442 0.001 0.487 [1 per cell]
O: 0.457 0.792 0.923 [1 per cell]
O: 0.464 0.295 0.420 [1 per cell]
O: 0.580 0.635 0.089 [1 per cell]
O: 0.590 0.133 0.071 [1 per cell]
O: 0.590 0.642 0.572 [1 per cell]
O: 0.612 0.129 0.588 [1 per cell]
O: 0.624 0.546 0.788 [1 per cell]
O: 0.628 0.566 0.280 [1 per cell]
O: 0.630 0.061 0.782 [1 per cell]
O: 0.639 0.023 0.287 [1 per cell]
O: 0.753 0.375 0.470 [1 per cell]
O: 0.771 0.866 0.970 [1 per cell]
O: 0.778 0.331 0.661 [1 per cell]
O: 0.793 0.825 0.158 [1 per cell]
O: 0.816 0.639 0.386 [1 per cell]
O: 0.819 0.344 0.003 [1 per cell]
O: 0.820 0.139 0.885 [1 per cell]
O: 0.820 0.839 0.503 [1 per cell]
O: 0.840 0.778 0.790 [1 per cell]
O: 0.847 0.290 0.286 [1 per cell]
O: 0.919 0.563 0.648 [1 per cell]
O: 0.922 0.063 0.145 [1 per cell]
O: 0.984 0.057 0.469 [1 per cell]

For the formation energy, the calculation gives -2.949 eV per atom.

***

The following is a GGA+U calculation of a relaxed structure of Na2VCuF7, from the Materials Project.

Lattice parameters (Å, degrees): 10.515 7.300 7.638 90.00 90.00 90.00
Space group Pnma (No. 62)
Unique sites:
Na: 0.000 0.000 0.000 [4 per cell]
Na: 0.239 0.250 0.277 [4 per cell]
V: 0.238 0.250 0.774 [4 per cell]
Cu: 0.000 0.000 0.500 [4 per cell]
F: 0.010 0.250 0.415 [4 per cell]
F: 0.119 0.050 0.721 [8 per cell]
F: 0.147 0.548 0.335 [8 per cell]
F: 0.153 0.250 0.007 [4 per cell]
F: 0.170 0.750 0.046 [4 per cell]

For the formation energy, the calculation gives -2.768 eV per atom.

***

The following is a GGA+U calculation of a relaxed structure of Cs2CoHgF6, from the Materials Project.

Lattice parameters (Å, degrees): 8.334 8.334 8.334 90.00 90.00 90.00
Space group Fm-3m (No. 225)
Unique sites:
Cs: 0.250 0.250 0.250 [8 per cell]
Co: 0.000 0.000 0.000 [4 per cell]
Hg: 0.000 0.000 0.500 [4 per cell]
F: 0.000 0.000 0.225 [24 per cell]

For the formation energy, the calculation gives -2.126 eV per atom.

***

The following is a GGA+U calculation of a relaxed structure of Ba2TaCoO6, from the Materials Project.

Lattice parameters (Å, degrees): 8.051 8.051 8.051 90.00 90.00 90.00
Space group Fm-3m (No. 225)
Unique sites:
Ba: 0.250 0.250 0.250 [8 per cell]
Ta: 0.000 0.000 0.000 [4 per cell]
Co: 0.000 0.000 0.500 [4 per cell]
O: 0.000 0.000 0.251 [24 per cell]

For the formation energy, the calculation gives -2.815 eV per atom.